K2NaInSb2 | PBE | optimized geometry

Results
Uncorrected energy (eV/atom): -2.891
Calculated volume (Å³ per cell): 840.02
ΔE_f (eV/atom): -0.53

Cell lengths 10.9515, 10.9515, 7.0894 Å; angles 90.00, 90.00, 98.91 degrees
With the nearest neighbours (Å) after each atom.
Sites, in units of the cell vectors:
K  0.0762  0.4238  0.7500  5 Sb 3.67-3.75, 2 In 3.78, 2 Na 3.87
K  0.1718  0.8282  0.7791  5 Sb 3.61-3.81, 2 Na 3.67, 2 In 3.95
K  0.3282  0.6718  0.2791  5 Sb 3.61-3.81, 2 Na 3.67, 2 In 3.95
K  0.4238  0.0762  0.2500  5 Sb 3.67-3.75, 2 In 3.78, 2 Na 3.87
K  0.5762  0.9238  0.7500  5 Sb 3.67-3.75, 2 In 3.78, 2 Na 3.87
K  0.6718  0.3282  0.7209  5 Sb 3.61-3.81, 2 Na 3.67, 2 In 3.95
K  0.8282  0.1718  0.2209  5 Sb 3.61-3.81, 2 Na 3.67, 2 In 3.95
K  0.9238  0.5762  0.2500  5 Sb 3.67-3.75, 2 In 3.78, 2 Na 3.87
Na  0.1191  0.1191  0.0000  4 Sb 3.12-3.21, 1 Na 3.39
Na  0.3809  0.3809  0.5000  4 Sb 3.12-3.21, 1 Na 3.39
Na  0.6191  0.6191  0.5000  4 Sb 3.12-3.21, 1 Na 3.39
Na  0.8809  0.8809  0.0000  4 Sb 3.12-3.21, 1 Na 3.39
In  0.1322  0.1322  0.5000  4 Sb 2.96-3.01
In  0.3678  0.3678  0.0000  4 Sb 2.96-3.01
In  0.6322  0.6322  0.0000  4 Sb 2.96-3.01
In  0.8678  0.8678  0.5000  4 Sb 2.96-3.01
Sb  0.1058  0.8942  0.2939  2 In 2.96, 2 Na 3.21
Sb  0.1441  0.3559  0.2500  2 In 3.01, 2 Na 3.12
Sb  0.3559  0.1441  0.7500  2 In 3.01, 2 Na 3.12
Sb  0.3942  0.6058  0.7939  2 In 2.96, 2 Na 3.21
Sb  0.6058  0.3942  0.2061  2 In 2.96, 2 Na 3.21
Sb  0.6441  0.8559  0.2500  2 In 3.01, 2 Na 3.12
Sb  0.8559  0.6441  0.7500  2 In 3.01, 2 Na 3.12
Sb  0.8942  0.1058  0.7061  2 In 2.96, 2 Na 3.21

DyCuPb | PBE | optimized geometry

Results
Uncorrected energy (eV/atom): -4.474
Calculated volume (Å³ per cell): 136.40
ΔE_f (eV/atom): -0.33

Cell lengths 4.6075, 4.6075, 7.4189 Å; angles 90.00, 90.00, 120.00 degrees
With the nearest neighbours (Å) after each atom.
Sites, in units of the cell vectors:
Dy  0.0000  0.0000  0.0000  6 Pb 3.24, 6 Cu 3.24
Dy  0.0000  0.0000  0.5000  6 Cu 3.24, 6 Pb 3.24
Cu  0.3333  0.6667  0.2500  3 Pb 2.66
Cu  0.6667  0.3333  0.7500  3 Pb 2.66
Pb  0.3333  0.6667  0.7500  3 Cu 2.66
Pb  0.6667  0.3333  0.2500  3 Cu 2.66

KMg14SiO16 | PBE | optimized geometry

Results
Uncorrected energy (eV/atom): -5.799
ΔE to the lowest computed polymorph (meV per atom): 22
Calculated volume (Å³ per cell): 325.79
ΔE_f (eV/atom): -2.76

Cell lengths 8.5932, 8.5932, 4.4120 Å; angles 90.00, 90.00, 90.00 degrees
With the nearest neighbours (Å) after each atom.
Sites, in units of the cell vectors:
K  0.0000  0.0000  0.0000  6 O 2.21-2.38
Mg  0.0000  0.2495  0.5000  6 O 2.14-2.22
Mg  0.0000  0.5000  0.0000  2 O 1.92
Mg  0.0000  0.7505  0.5000  6 O 2.14-2.22
Mg  0.2475  0.2475  0.0000  6 O 2.14-2.21
Mg  0.2475  0.7525  0.0000  6 O 2.14-2.21
Mg  0.2480  0.5000  0.5000  6 O 2.13-2.21
Mg  0.2495  0.0000  0.5000  6 O 2.14-2.22
Mg  0.5000  0.0000  0.0000  2 O 1.92
Mg  0.5000  0.2480  0.5000  6 O 2.13-2.21
Mg  0.5000  0.7520  0.5000  6 O 2.13-2.21
Mg  0.7505  0.0000  0.5000  6 O 2.14-2.22
Mg  0.7520  0.5000  0.5000  6 O 2.13-2.21
Mg  0.7525  0.2475  0.0000  6 O 2.14-2.21
Mg  0.7525  0.7525  0.0000  6 O 2.14-2.21
Si  0.5000  0.5000  0.0000  4 O 1.97
O  0.0000  0.0000  0.5000  4 Mg 2.14, 2 K 2.21
O  0.0000  0.2766  0.0000  3 Mg 1.92-2.14
O  0.0000  0.5000  0.5000  6 Mg 2.13-2.21
O  0.0000  0.7234  0.0000  3 Mg 1.92-2.14
O  0.2516  0.2516  0.5000  6 Mg 2.14-2.21
O  0.2516  0.7484  0.5000  6 Mg 2.14-2.21
O  0.2711  0.5000  0.0000  1 Si 1.97, 2 Mg 2.18
O  0.2766  0.0000  0.0000  3 Mg 1.92-2.14
O  0.5000  0.0000  0.5000  6 Mg 2.13-2.21
O  0.5000  0.2711  0.0000  1 Si 1.97, 2 Mg 2.18
O  0.5000  0.5000  0.5000  4 Mg 2.17, 2 Si 2.21
O  0.5000  0.7289  0.0000  1 Si 1.97, 2 Mg 2.18
O  0.7234  0.0000  0.0000  3 Mg 1.92-2.14
O  0.7289  0.5000  0.0000  1 Si 1.97, 2 Mg 2.18
O  0.7484  0.2516  0.5000  6 Mg 2.14-2.21
O  0.7484  0.7484  0.5000  6 Mg 2.14-2.21

Pr4Si2S3O7 | PBE | optimized geometry

Results
Uncorrected energy (eV/atom): -7.658
Calculated volume (Å³ per cell): 1050.69
ΔE_f (eV/atom): -3.24

Cell lengths 11.1653, 11.1653, 11.1653 Å; angles 114.33, 114.33, 100.14 degrees
With the nearest neighbours (Å) after each atom.
Sites, in units of the cell vectors:
Pr  0.0463  0.2963  0.0926  6 O 2.52-2.64
Pr  0.0463  0.9537  0.7500  6 O 2.52-2.64
Pr  0.1697  0.6567  0.5130  3 O 2.42-2.54
Pr  0.2963  0.0463  0.5926  6 O 2.52-2.64
Pr  0.2963  0.7037  0.2500  6 O 2.52-2.64
Pr  0.3433  0.3563  0.5130  3 O 2.42-2.54
Pr  0.3433  0.8303  0.9870  3 O 2.42-2.54
Pr  0.3563  0.3433  0.0130  3 O 2.42-2.54
Pr  0.6437  0.6567  0.9870  3 O 2.42-2.54
Pr  0.6567  0.1697  0.0130  3 O 2.42-2.54
Pr  0.6567  0.6437  0.4870  3 O 2.42-2.54
Pr  0.7037  0.2963  0.7500  6 O 2.52-2.64
Pr  0.7037  0.9537  0.4074  6 O 2.52-2.64
Pr  0.8303  0.3433  0.4870  3 O 2.42-2.54
Pr  0.9537  0.0463  0.2500  6 O 2.52-2.64
Pr  0.9537  0.7037  0.9074  6 O 2.52-2.64
Si  0.0977  0.2237  0.6260  4 O 1.64-1.66
Si  0.0977  0.4717  0.8740  4 O 1.64-1.66
Si  0.2237  0.0977  0.1260  4 O 1.64-1.66
Si  0.4717  0.0977  0.3740  4 O 1.64-1.66
Si  0.5283  0.9023  0.6260  4 O 1.64-1.66
Si  0.7763  0.9023  0.8740  4 O 1.64-1.66
Si  0.9023  0.5283  0.1260  4 O 1.64-1.66
Si  0.9023  0.7763  0.3740  4 O 1.64-1.66
S  0.0000  0.3510  0.3510  4 Pr 2.89-2.97, 2 O 3.17
S  0.0000  0.6490  0.6490  4 Pr 2.89-2.97, 2 O 3.17
S  0.1250  0.8750  0.2500  4 Pr 2.93
S  0.3510  0.0000  0.8510  4 Pr 2.89-2.97, 2 O 3.17
S  0.3510  0.5000  0.3510  4 Pr 2.89-2.97, 2 O 3.17
S  0.3750  0.6250  0.7500  4 Pr 2.91
S  0.5000  0.3510  0.8510  4 Pr 2.89-2.97, 2 O 3.17
S  0.5000  0.6490  0.1490  4 Pr 2.89-2.97, 2 O 3.17
S  0.6250  0.3750  0.2500  4 Pr 2.91
S  0.6490  0.0000  0.1490  4 Pr 2.89-2.97, 2 O 3.17
S  0.6490  0.5000  0.6490  4 Pr 2.89-2.97, 2 O 3.17
S  0.8750  0.1250  0.7500  4 Pr 2.93
O  0.0747  0.5656  0.2280  1 Si 1.64
O  0.0747  0.8468  0.5091  1 Si 1.64
O  0.1458  0.3958  0.7500  2 Si 1.65
O  0.1532  0.1623  0.2280  1 Si 1.64
O  0.1532  0.9253  0.9909  1 Si 1.64
O  0.1623  0.1532  0.7280  1 Si 1.64
O  0.1623  0.4344  0.0091  1 Si 1.64
O  0.1747  0.1985  0.5238  1 Si 1.66
O  0.1747  0.6509  0.9762  1 Si 1.66
O  0.1985  0.1747  0.0238  1 Si 1.66
O  0.3491  0.8253  0.5238  1 Si 1.66
O  0.3958  0.1458  0.2500  2 Si 1.65
O  0.4344  0.1623  0.5091  1 Si 1.64
O  0.4344  0.9253  0.2720  1 Si 1.64
O  0.5656  0.0747  0.7280  1 Si 1.64
O  0.5656  0.8377  0.4909  1 Si 1.64
O  0.6042  0.8542  0.7500  2 Si 1.65
O  0.6509  0.1747  0.4762  1 Si 1.66
O  0.8015  0.8253  0.9762  1 Si 1.66
O  0.8253  0.3491  0.0238  1 Si 1.66
O  0.8253  0.8015  0.4762  1 Si 1.66
O  0.8377  0.5656  0.9909  1 Si 1.64
O  0.8377  0.8468  0.2720  1 Si 1.64
O  0.8468  0.0747  0.0091  1 Si 1.64
O  0.8468  0.8377  0.7720  1 Si 1.64
O  0.8542  0.6042  0.2500  2 Si 1.65
O  0.9253  0.1532  0.4909  1 Si 1.64
O  0.9253  0.4344  0.7720  1 Si 1.64

uncorrected energy of number 1 (K2NaInSb2)?
-2.891 eV/atom

The highest uncorrected energy belongs to which entry?
K2NaInSb2